This record from Materials Project describes Mg3V after structural relaxation. The functional is PBE.

Cell lengths 2.998, 4.984, 5.439 Å; angles 90.00, 90.00, 90.00 degrees
Fractional coordinates of all 4 atoms:
V (0.500, 0.000, 0.158)
Mg (0.000, 0.500, 0.333)
Mg (0.000, 0.000, 0.657)
Mg (0.500, 0.500, 0.853)

Calculated values
* total energy: -3.16 eV/atom
* symmetry: Pmm2
* magnetization: 0.692 μB per atom